Entry 1:
A plane-wave DFT calculation with PBE was carried out for a relaxed BaUSe2O8 crystal.

It has space group P2_1/c (No. 14), with a = 7.8352 Å, b = 9.0179 Å, c = 13.8261 Å, α = 90.00°, β = 107.05° and γ = 90.00°. The asymmetric unit holds Ba at (0.1752, 0.0689, 0.1859), U at (0.2637, 0.5900, 0.2113), Se at (0.1548, 0.5838, 0.9437), Se at (0.4591, 0.2093, 0.8838), O at (0.0458, 0.0503, 0.3542), O at (0.0467, 0.0526, 0.9836), O at (0.1447, 0.7115, 0.2856), O at (0.2189, 0.0193, 0.5571), O at (0.2916, 0.1484, 0.7730), O at (0.3332, 0.6878, 0.6411), O at (0.4436, 0.1054, 0.3644) and O at (0.4786, 0.6029, 0.3191).

Its MP2020-corrected energy is -6.8194 eV per atom. The crystal system is monoclinic. As for the offset from the most stable computed form: 29 meV/atom.



Entry 2:
A plane-wave DFT calculation with PBE was carried out for a relaxed Sb2Pt crystal.

It has space group Pa-3 (No. 205), with a = 6.5489 Å, b = 6.5489 Å, c = 6.5489 Å, α = 90.00°, β = 90.00° and γ = 90.00°. The asymmetric unit holds Sb at (0.1253, 0.1253, 0.1253) and Pt at (0.0000, 0.0000, 0.5000).

The crystal system is cubic. Its total energy is -5.255 eV/atom.



Entry 3:
A plane-wave DFT calculation with PBE was carried out for a relaxed Na2Ti2O5 crystal.

It has space group Pna2_1 (No. 33), with a = 8.8648 Å, b = 11.9552 Å, c = 5.4274 Å, α = 90.00°, β = 90.00° and γ = 90.00°. The asymmetric unit holds Na at (0.0660, 0.2274, 0.0000), Na at (0.1895, 0.6954, 0.9177), Ti at (0.0483, 0.9295, 0.0281), Ti at (0.1065, 0.5179, 0.3910), O at (0.0227, 0.9436, 0.3676), O at (0.0449, 0.1920, 0.4303), O at (0.0712, 0.5230, 0.0514), O at (0.1632, 0.6529, 0.4838) and O at (0.2502, 0.4083, 0.4550).

Its MP2020-corrected energy is -7.7990 eV per atom. The crystal system is orthorhombic.



Entry 4:
A plane-wave DFT calculation with PBE was carried out for a relaxed CdClO crystal.

It has space group P6_3mc (No. 186), with a = 3.8118 Å, b = 3.8118 Å, c = 9.5626 Å, α = 90.00°, β = 90.00° and γ = 120.00°. The asymmetric unit holds Cd at (0.3333, 0.6667, 0.0000), Cl at (0.3333, 0.6667, 0.3197) and O at (0.0000, 0.0000, 0.0602).

Its MP2020-corrected energy is -3.2832 eV per atom. The crystal system is hexagonal.